Density functional theory data (PBE) for a relaxed Ti2VS4 crystal.

Calculated values
Total DFT energy (no corrections) in eV per cell: -100.9
V in Å³/cell: 234.2
Formation enthalpy at 0 K in kJ/mol of atoms: -151.9

```
data_Ti2VS4
_cell_length_a 13.005
_cell_length_b 3.358
_cell_length_c 6.011
_cell_angle_alpha 90.00
_cell_angle_beta 116.84
_cell_angle_gamma 90.00
_symmetry_space_group_name_H-M 'C 1 2/m 1'
_symmetry_Int_Tables_number 12
loop_
_symmetry_equiv_pos_as_xyz
'x,y,z'
'-x,-y,-z'
'-x,y,-z'
'x,-y,z'
'x+1/2,y+1/2,z'
'-x+1/2,-y+1/2,-z'
'-x+1/2,y+1/2,-z'
'x+1/2,-y+1/2,z'
loop_
_atom_site_label
_atom_site_fract_x
_atom_site_fract_y
_atom_site_fract_z
Ti1 0.245 0.000 0.219
V1 0.000 0.500 0.500
S1 0.116 0.500 0.945
S2 0.128 0.000 0.465
```

***

Density functional theory data (PBE) for a relaxed Ti3VS6 crystal.

Calculated values
Total DFT energy (no corrections) in eV per cell: -212.0
V in Å³/cell: 521.6
Formation enthalpy at 0 K in kJ/mol of atoms: -155.3

```
data_Ti3VS6
_cell_length_a 5.8939
_cell_length_b 5.8939
_cell_length_c 17.3373
_cell_angle_alpha 90.00
_cell_angle_beta 90.00
_cell_angle_gamma 120.00
_symmetry_space_group_name_H-M 'R -3'
_symmetry_Int_Tables_number 148
_symmetry_space_group_name_Hall '-R 3'
loop_
_atom_site_label
_atom_site_fract_x
_atom_site_fract_y
_atom_site_fract_z
Ti1 0.0000 0.0000 0.0000
Ti2 0.0000 0.0000 0.3321
V1 0.0000 0.0000 0.5000
S1 0.0001 0.3343 0.7515
```

***

Density functional theory data (PBE) for a relaxed TiVS2 crystal.

Calculated values
Magnetization in μB per cell: 0.000
Total DFT energy (no corrections) in eV per cell: -59.7
V in Å³/cell: 115.9
Formation enthalpy at 0 K in kJ/mol of atoms: -135.6

```
data_TiVS2
_cell_length_a 3.318
_cell_length_b 5.846
_cell_length_c 5.974
_cell_angle_alpha 90.00
_cell_angle_beta 90.00
_cell_angle_gamma 90.00
_symmetry_space_group_name_H-M 'P m c 21'
_symmetry_Int_Tables_number 26
loop_
_symmetry_equiv_pos_as_xyz
'x,y,z'
'-x,-y,z+1/2'
'-x,y,z'
'x,-y,z+1/2'
loop_
_atom_site_label
_atom_site_fract_x
_atom_site_fract_y
_atom_site_fract_z
Ti1 0.000 0.059 0.000
V1 0.500 0.442 0.977
S1 0.000 0.336 0.710
S2 0.500 0.179 0.277
```

***

Look up the total DFT energy (no corrections) of the first one. -100.9 eV per cell

***

Among the records above, which one has the lowest formation enthalpy at 0 K? Ti3VS6

***

The highest formation enthalpy at 0 K belongs to which entry? TiVS2

***

The lowest total DFT energy (no corrections) belongs to which entry? Ti3VS6